Computed, not measured: a relaxed structure of Ca2BN2Cl at the PBE level of DFT.

The structure in CIF format:
```
data_Ca2BN2Cl
_symmetry_space_group_name_H-M 'P n m a'
_symmetry_Int_Tables_number 62
_cell_length_a 11.7307
_cell_length_b 3.9204
_cell_length_c 9.0446
_cell_angle_alpha 90.00
_cell_angle_beta 90.00
_cell_angle_gamma 90.00
loop_
_symmetry_equiv_pos_as_xyz
'x,y,z'
'-x,-y,-z'
'-x+1/2,-y,z+1/2'
'x+1/2,y,-z+1/2'
'x+1/2,-y+1/2,-z+1/2'
'-x+1/2,y+1/2,z+1/2'
'-x,y+1/2,-z'
'x,-y+1/2,z'
loop_
_atom_site_label
_atom_site_fract_x
_atom_site_fract_y
_atom_site_fract_z
Ca1 0.0902 0.2500 0.1084
Ca2 0.1703 0.2500 0.5507
B1 0.1655 0.7500 0.8182
N1 0.1224 0.7500 0.9572
N2 0.2129 0.7500 0.6835
Cl1 0.0612 0.7500 0.3474
```

Computed properties:
The calculation puts the spin magnetization at 0.000 μB/atom. As for the crystal system: orthorhombic. The calculation puts the MP2020-corrected energy at -0.478 Ry/atom.

***

Computed, not measured: a relaxed structure of Ca2CuB2H12O12 at the PBE level of DFT.

The structure in CIF format:
```
data_Ca2CuB2H12O12
_symmetry_space_group_name_H-M 'P -1'
_symmetry_Int_Tables_number 2
_cell_length_a 5.7637
_cell_length_b 5.7995
_cell_length_c 8.1620
_cell_angle_alpha 82.84
_cell_angle_beta 70.45
_cell_angle_gamma 89.82
loop_
_symmetry_equiv_pos_as_xyz
'x,y,z'
'-x,-y,-z'
loop_
_atom_site_label
_atom_site_fract_x
_atom_site_fract_y
_atom_site_fract_z
Ca1 0.2224 0.4946 0.2642
Cu1 0.0000 0.0000 0.5000
B1 0.2457 0.2866 0.9089
H1 0.0412 0.0521 0.1288
H2 0.1937 0.6362 0.8809
H3 0.2010 0.2279 0.6771
H4 0.2933 0.7075 0.5426
H5 0.4346 0.0688 0.4050
H6 0.4712 0.0018 0.8876
O1 0.0922 0.2443 0.7993
O2 0.0940 0.2194 0.0963
O3 0.1405 0.6955 0.5166
O4 0.3094 0.1766 0.4581
O5 0.3277 0.5332 0.8898
O6 0.4823 0.1689 0.8527
```

Computed properties:
The calculation puts the spin magnetization at 0.034 μB/atom. As for the crystal system: triclinic. The calculation puts the MP2020-corrected energy at -0.443 Ry/atom.

***

Computed, not measured: a relaxed structure of CaEr4B30 at the PBE level of DFT.

The structure in CIF format:
```
data_CaEr4B30
_symmetry_space_group_name_H-M 'P 4/m m m'
_symmetry_Int_Tables_number 123
_symmetry_space_group_name_Hall '-P 4 2'
_cell_length_a 4.0955
_cell_length_b 4.0955
_cell_length_c 20.4722
_cell_angle_alpha 90.00
_cell_angle_beta 90.00
_cell_angle_gamma 90.00
loop_
_atom_site_label
_atom_site_fract_x
_atom_site_fract_y
_atom_site_fract_z
Ca1 0.0000 0.0000 0.0000
Er1 0.0000 0.0000 0.2001
Er2 0.0000 0.0000 0.3999
B1 0.1992 0.5000 0.3001
B2 0.1993 0.5000 0.5000
B3 0.1998 0.5000 0.1008
B4 0.5000 0.5000 0.0402
B5 0.5000 0.5000 0.1606
B6 0.5000 0.5000 0.2401
B7 0.5000 0.5000 0.3603
B8 0.5000 0.5000 0.4399
```

Computed properties:
For the total energy, the calculation gives -6.68 eV/atom. The calculation puts the spin magnetization at 0.000 μB/atom. As for the crystal system: tetragonal.

***

Computed, not measured: a relaxed structure of CaB2F8 at the PBE level of DFT.

The structure in CIF format:
```
data_CaB2F8
_symmetry_space_group_name_H-M 'P b c a'
_symmetry_Int_Tables_number 61
_cell_length_a 9.0567
_cell_length_b 13.5953
_cell_length_c 9.4132
_cell_angle_alpha 90.00
_cell_angle_beta 90.00
_cell_angle_gamma 90.00
loop_
_symmetry_equiv_pos_as_xyz
'x,y,z'
'-x,-y,-z'
'-x+1/2,-y,z+1/2'
'x+1/2,y,-z+1/2'
'x+1/2,-y+1/2,-z'
'-x+1/2,y+1/2,z'
'-x,y+1/2,-z+1/2'
'x,-y+1/2,z+1/2'
loop_
_atom_site_label
_atom_site_fract_x
_atom_site_fract_y
_atom_site_fract_z
Ca1 0.2192 0.1038 0.0339
B1 0.0028 0.0563 0.7212
B2 0.1757 0.6588 0.3964
F1 0.0210 0.6690 0.4145
F2 0.0802 0.6159 0.8727
F3 0.0848 0.5128 0.1417
F4 0.0955 0.5055 0.6869
F5 0.0977 0.1152 0.8048
F6 0.2153 0.6791 0.2536
F7 0.2181 0.5613 0.4307
F8 0.2503 0.2259 0.4870
```

Computed properties:
As for the crystal system: orthorhombic. The calculation puts the MP2020-corrected energy at -0.464 Ry/atom.

***

Computed, not measured: a relaxed structure of Li5Ca9B7O21F2 at the PBE level of DFT.

The structure in CIF format:
```
data_Li5Ca9B7O21F2
_symmetry_space_group_name_H-M 'P 1'
_symmetry_Int_Tables_number 1
_cell_length_a 3.6098
_cell_length_b 12.9656
_cell_length_c 12.9663
_cell_angle_alpha 60.13
_cell_angle_beta 88.46
_cell_angle_gamma 88.47
loop_
_symmetry_equiv_pos_as_xyz
'x,y,z'
loop_
_atom_site_label
_atom_site_fract_x
_atom_site_fract_y
_atom_site_fract_z
Li1 0.0000 0.0000 0.0000
Li2 0.0136 0.4229 0.8613
Li3 0.0545 0.6764 0.4745
Li4 0.5168 0.0873 0.5230
Li5 0.9845 0.5211 0.1539
Ca1 0.0087 0.8540 0.7217
Ca2 0.0378 0.0999 0.3244
Ca3 0.4661 0.5210 0.3631
Ca4 0.4892 0.7955 0.9942
Ca5 0.4999 0.2240 0.8389
Ca6 0.5115 0.3599 0.0913
Ca7 0.5270 0.6215 0.6956
Ca8 0.5837 0.8871 0.2665
Ca9 0.9948 0.2505 0.5796
B1 0.0022 0.4480 0.6196
B2 0.0059 0.6115 0.9233
B3 0.0123 0.7304 0.2108
B4 0.0309 0.1416 0.0872
B5 0.4936 0.0265 0.7971
B6 0.5026 0.3203 0.3304
B7 0.5440 0.8532 0.5002
O1 0.0006 0.3303 0.7106
O2 0.0012 0.7056 0.9470
O3 0.0022 0.4945 0.0141
O4 0.0140 0.6373 0.8052
O5 0.0251 0.2320 0.1158
O6 0.0435 0.5387 0.6457
O7 0.0752 0.0240 0.1803
O8 0.1394 0.7424 0.3043
O9 0.4856 0.4333 0.2313
O10 0.4868 0.0102 0.9119
O11 0.4953 0.9260 0.7845
O12 0.4987 0.3074 0.4436
O13 0.4997 0.1404 0.7004
O14 0.5176 0.8355 0.6146
O15 0.5228 0.2206 0.3170
O16 0.5463 0.9661 0.4007
O17 0.5680 0.7548 0.4837
O18 0.9403 0.8305 0.1021
O19 0.9588 0.6183 0.2267
O20 0.9650 0.4728 0.5024
O21 0.9907 0.1659 0.9720
F1 0.0169 0.0679 0.5421
F2 0.5133 0.4024 0.8761
```

Computed properties:
The calculation puts the spin magnetization at 0.000 μB/atom. As for the crystal system: triclinic. The calculation puts the MP2020-corrected energy at -0.537 Ry/atom.

***

Computed, not measured: a relaxed structure of CaGaBO4 at the PBE level of DFT.

The structure in CIF format:
```
data_CaGaBO4
_symmetry_space_group_name_H-M 'C c c 2'
_symmetry_Int_Tables_number 37
_cell_length_a 8.4904
_cell_length_b 15.5286
_cell_length_c 5.9039
_cell_angle_alpha 90.00
_cell_angle_beta 90.00
_cell_angle_gamma 90.00
loop_
_symmetry_equiv_pos_as_xyz
'x,y,z'
'-x,-y,z'
'-x,y,z+1/2'
'x,-y,z+1/2'
'x+1/2,y+1/2,z'
'-x+1/2,-y+1/2,z'
'-x+1/2,y+1/2,z+1/2'
'x+1/2,-y+1/2,z+1/2'
loop_
_atom_site_label
_atom_site_fract_x
_atom_site_fract_y
_atom_site_fract_z
Ca1 0.1400 0.0921 0.0000
Ga1 0.0150 0.2982 0.2722
B1 0.2399 0.3942 0.5375
O1 0.0371 0.2319 0.0180
O2 0.1272 0.0570 0.5688
O3 0.1568 0.3726 0.7326
O4 0.1925 0.3693 0.3206
```

Computed properties:
The calculation puts the spin magnetization at 0.000 μB/atom. As for the crystal system: orthorhombic. The calculation puts the MP2020-corrected energy at -0.545 Ry/atom.

***

Computed, not measured: a relaxed structure of Ca10Ge16B6O51 at the PBE level of DFT.

The structure in CIF format:
```
data_Ca10Ge16B6O51
_symmetry_space_group_name_H-M 'P b a 2'
_symmetry_Int_Tables_number 32
_cell_length_a 15.2885
_cell_length_b 26.6868
_cell_length_c 4.7833
_cell_angle_alpha 90.00
_cell_angle_beta 90.00
_cell_angle_gamma 90.00
loop_
_symmetry_equiv_pos_as_xyz
'x,y,z'
'-x,-y,z'
'-x+1/2,y+1/2,z'
'x+1/2,-y+1/2,z'
loop_
_atom_site_label
_atom_site_fract_x
_atom_site_fract_y
_atom_site_fract_z
Ca1 0.0070 0.0996 0.0014
Ca2 0.1157 0.7956 0.0123
Ca3 0.1390 0.6466 0.0000
Ca4 0.1463 0.2233 0.0141
Ca5 0.2443 0.9241 0.0317
Ge1 0.0092 0.7155 0.5133
Ge2 0.0411 0.4224 0.5213
Ge3 0.0806 0.3463 0.0212
Ge4 0.1073 0.9939 0.5123
Ge5 0.1468 0.5252 0.5177
Ge6 0.1885 0.1296 0.5202
Ge7 0.2153 0.0492 0.0198
Ge8 0.2149 0.3230 0.5255
B1 0.0193 0.1781 0.4834
B2 0.1234 0.8810 0.4928
B3 0.2007 0.7228 0.5496
O1 0.0000 0.0000 0.6774
O2 0.0017 0.3823 0.7904
O3 0.0053 0.2281 0.3269
O4 0.0181 0.6682 0.2548
O5 0.0246 0.1811 0.7750
O6 0.0499 0.8540 0.3630
O7 0.0567 0.5558 0.3546
O8 0.0677 0.2885 0.7879
O9 0.1027 0.1586 0.3336
O10 0.1065 0.4699 0.6858
O11 0.1112 0.0410 0.2490
O12 0.1113 0.7183 0.6964
O13 0.1115 0.4009 0.2507
O14 0.1163 0.9344 0.3461
O15 0.1284 0.8820 0.7843
O16 0.1443 0.0915 0.7892
O17 0.1470 0.3013 0.2525
O18 0.1772 0.3639 0.7910
O19 0.1845 0.9934 0.7907
O20 0.1869 0.5654 0.7862
O21 0.2009 0.7224 0.2601
O22 0.2030 0.8575 0.3434
O23 0.2208 0.5042 0.2522
O24 0.2387 0.7697 0.6968
O25 0.2453 0.6037 0.2521
O26 0.2476 0.1786 0.6948
```

Computed properties:
The calculation puts the spin magnetization at 0.000 μB/atom. As for the crystal system: orthorhombic. The calculation puts the MP2020-corrected energy at -0.537 Ry/atom.